1.
Entry from the Materials Project: TiAu4 after structural relaxation (PBE).

Unit cell a=5.0810 b=5.0810 c=5.0810 alpha=98.98 beta=98.98 gamma=133.46
With the nearest neighbours (Å) after each atom.
Fractional positions:
Ti 0.0000 0.0000 0.0000  12 Au 2.87-2.94
Au 0.2069 0.6049 0.8119  9 Au 2.83-3.06, 3 Ti 2.87-2.94
Au 0.3951 0.2069 0.6020  9 Au 2.83-3.06, 3 Ti 2.87-2.94
Au 0.6049 0.7931 0.3980  9 Au 2.83-3.06, 3 Ti 2.87-2.94
Au 0.7931 0.3951 0.1881  9 Au 2.83-3.06, 3 Ti 2.87-2.94

Symmetry: No. 87
DFT total energy, eV per atom: -4.4772
E_form, eV per formula unit: -1.39


2.
Entry from the Materials Project: Ho2Fe17C3 after structural relaxation (PBE).

Unit cell a=8.6304 b=8.6304 c=8.3266 alpha=90.00 beta=90.00 gamma=120.00
With the nearest neighbours (Å) after each atom.
Fractional positions:
Ho 0.0000 0.0000 0.2500  3 C 2.48
Ho 0.0000 0.0000 0.7500  3 C 2.48
Ho 0.3333 0.6667 0.2500  3 C 2.50
Ho 0.6667 0.3333 0.7500  3 C 2.50
Fe 0.0000 0.5000 0.0000  10 Fe 2.47-2.65
Fe 0.0000 0.5000 0.5000  10 Fe 2.47-2.65
Fe 0.0514 0.3786 0.7500  1 C 1.86
Fe 0.0514 0.6729 0.7500  1 C 1.86
Fe 0.1682 0.3364 0.0196  1 C 1.92
Fe 0.1682 0.3364 0.4804  1 C 1.92
Fe 0.1682 0.8318 0.0196  1 C 1.92
Fe 0.1682 0.8318 0.4804  1 C 1.92
Fe 0.3271 0.3786 0.7500  1 C 1.86
Fe 0.3271 0.9486 0.7500  1 C 1.86
Fe 0.3333 0.6667 0.6075  4 Fe 2.37-2.65
Fe 0.3333 0.6667 0.8925  4 Fe 2.37-2.65
Fe 0.3364 0.1682 0.5196  1 C 1.92
Fe 0.3364 0.1682 0.9804  1 C 1.92
Fe 0.3786 0.0514 0.2500  1 C 1.86
Fe 0.3786 0.3271 0.2500  1 C 1.86
Fe 0.5000 0.0000 0.0000  10 Fe 2.47-2.65
Fe 0.5000 0.0000 0.5000  10 Fe 2.47-2.65
Fe 0.5000 0.5000 0.0000  10 Fe 2.47-2.65
Fe 0.5000 0.5000 0.5000  10 Fe 2.47-2.65
Fe 0.6214 0.6729 0.7500  1 C 1.86
Fe 0.6214 0.9486 0.7500  1 C 1.86
Fe 0.6636 0.8318 0.0196  1 C 1.92
Fe 0.6636 0.8318 0.4804  1 C 1.92
Fe 0.6667 0.3333 0.1075  4 Fe 2.37-2.65
Fe 0.6667 0.3333 0.3925  4 Fe 2.37-2.65
Fe 0.6729 0.0514 0.2500  1 C 1.86
Fe 0.6729 0.6214 0.2500  1 C 1.86
Fe 0.8318 0.1682 0.5196  1 C 1.92
Fe 0.8318 0.1682 0.9804  1 C 1.92
Fe 0.8318 0.6636 0.5196  1 C 1.92
Fe 0.8318 0.6636 0.9804  1 C 1.92
Fe 0.9486 0.3271 0.2500  1 C 1.86
Fe 0.9486 0.6214 0.2500  1 C 1.86
C 0.1659 0.3318 0.2500  4 Fe 1.86-1.92
C 0.1659 0.8341 0.2500  4 Fe 1.86-1.92
C 0.3318 0.1659 0.7500  4 Fe 1.86-1.92
C 0.6682 0.8341 0.2500  4 Fe 1.86-1.92
C 0.8341 0.1659 0.7500  4 Fe 1.86-1.92
C 0.8341 0.6682 0.7500  4 Fe 1.86-1.92

Symmetry: No. 194
DFT total energy, eV per atom: -8.3041
E_form, eV per formula unit: -1.85
Total magnetization, μB/f.u.: 35.13


The lowest E_form belongs to which entry? Ho2Fe17C3